# Na10Mg3Ti5P12O48, optimized geometry, DFT PBE
data_Na10Mg3Ti5P12O48
_symmetry_space_group_name_H-M 'P 1'
_symmetry_Int_Tables_number 1
_cell_length_a 8.7932
_cell_length_b 15.2041
_cell_length_c 22.0769
_cell_angle_alpha 90.02
_cell_angle_beta 90.04
_cell_angle_gamma 90.02
loop_
_symmetry_equiv_pos_as_xyz
'x,y,z'
loop_
_atom_site_label
_atom_site_fract_x
_atom_site_fract_y
_atom_site_fract_z
Na1 0.0000 0.0000 0.0000
Na2 0.0000 0.3322 0.6691
Na3 0.0114 0.9676 0.6700
Na4 0.0116 0.6341 0.9998
Na5 0.1338 0.1311 0.5001
Na6 0.1354 0.4675 0.1693
Na7 0.1469 0.8322 0.1686
Na8 0.1886 0.1444 0.1693
Na9 0.3130 0.6485 0.4181
Na10 0.3231 0.3147 0.2541
Na11 0.3231 0.3148 0.7552
Na12 0.3266 0.6491 0.9215
Na13 0.3290 0.9773 0.5818
Na14 0.3334 0.9808 0.0828
Na15 0.4601 0.1443 0.6692
Na16 0.5005 0.8322 0.6690
Na17 0.5123 0.4675 0.6694
Na18 0.6341 0.6312 0.5002
Na19 0.6358 0.9678 0.1690
Na20 0.6459 0.6657 0.8361
Na21 0.6478 0.3320 0.1692
Na22 0.6880 0.6444 0.1688
Na23 0.6892 0.9780 0.8355
Na24 0.8133 0.1484 0.4181
Na25 0.8174 0.4776 0.0828
Na26 0.8210 0.1569 0.9210
Na27 0.8233 0.8147 0.2537
Na28 0.8285 0.4773 0.5819
Na29 0.8355 0.8146 0.7561
Na30 0.9582 0.6441 0.6688
Mg1 0.3179 0.6485 0.5617
Mg2 0.3224 0.9831 0.7341
Mg3 0.3237 0.9816 0.2351
Mg4 0.3298 0.6480 0.0634
Mg5 0.8172 0.1484 0.5619
Mg6 0.8187 0.1515 0.0625
Mg7 0.8232 0.4794 0.7344
Mg8 0.8240 0.4816 0.2350
Mg9 0.8294 0.8144 0.8980
Ti1 0.3128 0.6469 0.7711
Ti2 0.3225 0.3149 0.8972
Ti3 0.3249 0.3148 0.0997
Ti4 0.3249 0.3148 0.3952
Ti5 0.3247 0.3159 0.5991
Ti6 0.3259 0.6481 0.2716
Ti7 0.3274 0.9785 0.4327
Ti8 0.3281 0.9800 0.9343
Ti9 0.8200 0.4786 0.9354
Ti10 0.8214 0.8149 0.0979
Ti11 0.8229 0.8161 0.5994
Ti12 0.8247 0.1485 0.2716
Ti13 0.8253 0.8149 0.3953
Ti14 0.8278 0.4787 0.4327
Ti15 0.8289 0.1517 0.7721
P1 0.0321 0.9818 0.8318
P2 0.0333 0.6482 0.1650
P3 0.0340 0.3172 0.4984
P4 0.1146 0.1484 0.6642
P5 0.1174 0.4814 0.3320
P6 0.1186 0.8146 0.9988
P7 0.1770 0.1278 0.3330
P8 0.1771 0.4589 0.9986
P9 0.1770 0.8347 0.3318
P10 0.1780 0.5028 0.6651
P11 0.1789 0.7934 0.6650
P12 0.1801 0.1695 0.9985
P13 0.4673 0.8344 0.8311
P14 0.4684 0.7933 0.1661
P15 0.4686 0.1294 0.8321
P16 0.4693 0.1696 0.4980
P17 0.4686 0.5030 0.1662
P18 0.4705 0.4590 0.4980
P19 0.5295 0.4799 0.8320
P20 0.5342 0.1481 0.1661
P21 0.5339 0.8172 0.4982
P22 0.6125 0.3152 0.9981
P23 0.6143 0.6482 0.6654
P24 0.6174 0.9813 0.3320
P25 0.6745 0.6677 0.9966
P26 0.6748 0.9616 0.9974
P27 0.6771 0.3348 0.3319
P28 0.6773 0.6279 0.3330
P29 0.6786 0.0032 0.6664
P30 0.6792 0.2930 0.6656
P31 0.9687 0.0031 0.1649
P32 0.9686 0.2931 0.1658
P33 0.9691 0.6266 0.8323
P34 0.9692 0.6698 0.4981
P35 0.9704 0.9589 0.4981
P36 0.9714 0.3363 0.8324
O1 0.0001 0.4657 0.9932
O2 0.0001 0.8001 0.6610
O3 0.0006 0.1366 0.3282
O4 0.0041 0.8237 0.3434
O5 0.0066 0.1650 0.7203
O6 0.0065 0.4887 0.6727
O7 0.0069 0.4943 0.3874
O8 0.0091 0.1579 0.0026
O9 0.0124 0.8320 0.0573
O10 0.0153 0.8004 0.9453
O11 0.0205 0.1331 0.6074
O12 0.0288 0.4646 0.2743
O13 0.1239 0.9702 0.7742
O14 0.1259 0.6322 0.1077
O15 0.1358 0.3305 0.5574
O16 0.1357 0.9954 0.8893
O17 0.1394 0.6613 0.5028
O18 0.1414 0.6647 0.2208
O19 0.1407 0.9897 0.1731
O20 0.1434 0.3234 0.8435
O21 0.1436 0.3043 0.4450
O22 0.1473 0.6332 0.8268
O23 0.1468 0.9667 0.4934
O24 0.1479 0.3004 0.1613
O25 0.1961 0.8874 0.2741
O26 0.2037 0.5606 0.6107
O27 0.2051 0.7317 0.7222
O28 0.2093 0.0691 0.3901
O29 0.2087 0.4017 0.0571
O30 0.2116 0.9026 0.9949
O31 0.2147 0.2346 0.6612
O32 0.2162 0.7337 0.0072
O33 0.2168 0.5657 0.3284
O34 0.2194 0.2289 0.9445
O35 0.2204 0.0691 0.6721
O36 0.2207 0.4005 0.3437
O37 0.2429 0.5508 0.0026
O38 0.2436 0.8862 0.6731
O39 0.2461 0.0913 0.2754
O40 0.2460 0.2210 0.3433
O41 0.2465 0.4100 0.9445
O42 0.2510 0.2140 0.0569
O43 0.2522 0.8832 0.3873
O44 0.2525 0.7426 0.3282
O45 0.2539 0.7520 0.6107
O46 0.2565 0.0774 0.9929
O47 0.2558 0.5467 0.7224
O48 0.2579 0.4098 0.6613
O49 0.3842 0.0799 0.4935
O50 0.3900 0.4094 0.1613
O51 0.3906 0.5465 0.2231
O52 0.3925 0.7413 0.8275
O53 0.3928 0.2139 0.5564
O54 0.3938 0.7523 0.1114
O55 0.3941 0.8828 0.8873
O56 0.4002 0.2212 0.8430
O57 0.4001 0.4097 0.4445
O58 0.4032 0.0930 0.7736
O59 0.4028 0.5508 0.5030
O60 0.4039 0.8865 0.1737
O61 0.4249 0.4003 0.8427
O62 0.4265 0.0693 0.1736
O63 0.4269 0.2288 0.4442
O64 0.4330 0.2343 0.1610
O65 0.4343 0.5668 0.8283
O66 0.4365 0.9014 0.4928
O67 0.4386 0.0654 0.8868
O68 0.4385 0.4017 0.5570
O69 0.4399 0.7336 0.5036
O70 0.4420 0.7320 0.2230
O71 0.4430 0.5599 0.1112
O72 0.4446 0.8901 0.7746
O73 0.4980 0.9675 0.9936
O74 0.4998 0.3002 0.6609
O75 0.5008 0.6365 0.3283
O76 0.5032 0.3065 0.9440
O77 0.5040 0.3236 0.3434
O78 0.5063 0.9887 0.6728
O79 0.5067 0.6556 0.0056
O80 0.5070 0.9945 0.3875
O81 0.5114 0.3295 0.0568
O82 0.5122 0.6652 0.7228
O83 0.5192 0.6332 0.6086
O84 0.5288 0.9647 0.2743
O85 0.6180 0.4649 0.7739
O86 0.6318 0.1316 0.1111
O87 0.6354 0.8305 0.5573
O88 0.6394 0.1613 0.5029
O89 0.6386 0.1660 0.2229
O90 0.6394 0.8226 0.8393
O91 0.6406 0.4890 0.1735
O92 0.6406 0.4966 0.8868
O93 0.6435 0.8042 0.4449
O94 0.6466 0.1343 0.8288
O95 0.6468 0.4666 0.4935
O96 0.6478 0.8001 0.1612
O97 0.6962 0.3873 0.2741
O98 0.7051 0.0612 0.6119
O99 0.7059 0.2322 0.7227
O100 0.7070 0.9011 0.0557
O101 0.7082 0.4012 0.9918
O102 0.7094 0.5691 0.3901
O103 0.7088 0.7207 0.9405
O104 0.7110 0.2348 0.0025
O105 0.7162 0.7342 0.6607
O106 0.7173 0.0655 0.3282
O107 0.7209 0.5686 0.6724
O108 0.7207 0.9005 0.3438
O109 0.7435 0.3863 0.6731
O110 0.7454 0.9195 0.9418
O111 0.7462 0.5912 0.2754
O112 0.7462 0.7210 0.3433
O113 0.7493 0.0508 0.0065
O114 0.7520 0.3834 0.3874
O115 0.7529 0.2428 0.3284
O116 0.7543 0.0437 0.7250
O117 0.7538 0.2523 0.6108
O118 0.7548 0.7139 0.0546
O119 0.7572 0.9094 0.6608
O120 0.7628 0.5768 0.9945
O121 0.8843 0.5799 0.4934
O122 0.8891 0.9099 0.1613
O123 0.8903 0.0489 0.2209
O124 0.8928 0.7138 0.5563
O125 0.8945 0.2435 0.8279
O126 0.8952 0.2521 0.1107
O127 0.8946 0.3828 0.8876
O128 0.8993 0.7178 0.8390
O129 0.9002 0.5862 0.7753
O130 0.9002 0.9097 0.4445
O131 0.9027 0.0508 0.5029
O132 0.9034 0.3862 0.1732
O133 0.9216 0.9050 0.8387
O134 0.9270 0.5686 0.1730
O135 0.9269 0.7287 0.4442
O136 0.9301 0.0680 0.8273
O137 0.9323 0.7341 0.1610
O138 0.9367 0.4014 0.4929
O139 0.9394 0.5679 0.8898
O140 0.9387 0.9017 0.5570
O141 0.9399 0.2336 0.5037
O142 0.9419 0.2323 0.2227
O143 0.9459 0.0577 0.1078
O144 0.9517 0.3867 0.7738
# energy of formation from the pure elements: -2895.2 meV/atom
# space group: P1 (1)